# TaMnO4

A relaxed TaMnO4 crystal (r2SCAN, Materials Project).

Lattice parameters (Å, degrees): 6.7385 7.5932 6.9210 60.99 94.09 65.37
Closest atoms and distances in Å follow each position.
Fractional coordinates of all 24 atoms:
Ta 0.7039 0.3302 0.4566  6 O 1.90-2.11
Ta 0.2040 0.3302 0.9566  6 O 1.90-2.11
Ta 0.7960 0.6698 0.0434  6 O 1.90-2.11
Ta 0.2961 0.6698 0.5434  6 O 1.90-2.11
Mn 0.7046 0.8438 0.4519  4 O 1.90-1.96
Mn 0.2954 0.1562 0.5481  4 O 1.90-1.96
Mn 0.2046 0.8438 0.9519  4 O 1.90-1.96
Mn 0.7954 0.1562 0.0481  4 O 1.90-1.96
O 0.4605 0.8878 0.8782  2 Mn 1.95-1.96, 1 Ta 1.96
O 0.9605 0.8878 0.3782  2 Mn 1.95-1.96, 1 Ta 1.96
O 0.0395 0.1122 0.6218  2 Mn 1.95-1.96, 1 Ta 1.96
O 0.5395 0.1122 0.1218  2 Mn 1.95-1.96, 1 Ta 1.96
O 0.9185 0.8681 0.9824  1 Mn 1.90, 1 Ta 1.90
O 0.4185 0.8681 0.4824  1 Mn 1.90, 1 Ta 1.90
O 0.5815 0.1319 0.5177  1 Mn 1.90, 1 Ta 1.90
O 0.0815 0.1319 0.0176  1 Mn 1.90, 1 Ta 1.90
O 0.3668 0.6208 0.2862  1 Mn 1.93, 2 Ta 2.04-2.08
O 0.8668 0.6208 0.7862  1 Mn 1.93, 2 Ta 2.04-2.08
O 0.1332 0.3792 0.2138  1 Mn 1.93, 2 Ta 2.04-2.08
O 0.6332 0.3792 0.7138  1 Mn 1.93, 2 Ta 2.04-2.08
O 0.7740 0.6045 0.3428  2 Ta 1.92-2.11
O 0.2740 0.6045 0.8428  2 Ta 1.92-2.11
O 0.7260 0.3955 0.1572  2 Ta 1.92-2.11
O 0.2260 0.3955 0.6572  2 Ta 1.92-2.11

Results
spin magnetization	0.667	μB/atom
energy relative to the elements	-2.695	eV per atom

# Ba3Na3C5O15

A relaxed Ba3Na3C5O15 crystal (r2SCAN, Materials Project).

Lattice parameters (Å, degrees): 10.8112 10.8115 6.8333 90.00 90.00 120.00
Closest atoms and distances in Å follow each position.
Fractional coordinates of all 52 atoms:
Ba 0.8413 0.6825 0.8302  10 O 2.77-2.87
Ba 0.8413 0.1588 0.8302  10 O 2.77-2.87
Ba 0.1587 0.3175 0.3302  10 O 2.77-2.87
Ba 0.3175 0.1588 0.8302  10 O 2.77-2.87
Ba 0.1587 0.8412 0.3302  10 O 2.77-2.87
Ba 0.6825 0.8412 0.3302  10 O 2.77-2.87
Na 0.5236 0.0472 0.5268  6 O 2.43-2.63
Na 0.5236 0.4764 0.5268  6 O 2.43-2.63
Na 0.4764 0.9528 0.0268  6 O 2.43-2.63
Na 0.9528 0.4764 0.5267  6 O 2.43-2.63
Na 0.4764 0.5236 0.0268  6 O 2.43-2.63
Na 0.0472 0.5236 0.0267  6 O 2.43-2.63
C 0.2071 0.4142 0.7931  3 O 1.28-1.29
C 0.2071 0.7929 0.7931  3 O 1.28-1.29
C 0.7929 0.5858 0.2931  3 O 1.28-1.29
C 0.5858 0.7929 0.7931  3 O 1.28-1.29
C 0.7929 0.2071 0.2931  3 O 1.28-1.29
C 0.4142 0.2071 0.2931  3 O 1.28-1.29
C 0.6667 0.3333 0.8326  3 O 1.29
C 0.3333 0.6667 0.3326  3 O 1.29
C 0.0000 0.0000 0.0060  3 O 1.29
C 0.0000 0.0000 0.5060  3 O 1.29
O 0.6075 0.6999 0.7033  1 C 1.29
O 0.0925 0.3926 0.7033  1 C 1.29
O 0.3925 0.3001 0.2033  1 C 1.29
O 0.0925 0.6999 0.7033  1 C 1.29
O 0.3001 0.9075 0.7033  1 C 1.29
O 0.9075 0.6074 0.2033  1 C 1.29
O 0.3001 0.3925 0.7033  1 C 1.29
O 0.9075 0.3001 0.2033  1 C 1.29
O 0.6999 0.0925 0.2033  1 C 1.29
O 0.6999 0.6075 0.2033  1 C 1.29
O 0.6075 0.9075 0.7033  1 C 1.29
O 0.3925 0.0925 0.2033  1 C 1.29
O 0.2275 0.4550 0.9716  1 C 1.28
O 0.2275 0.7725 0.9716  1 C 1.28
O 0.7725 0.5450 0.4716  1 C 1.28
O 0.5450 0.7725 0.9716  1 C 1.28
O 0.7725 0.2275 0.4716  1 C 1.28
O 0.4550 0.2275 0.4716  1 C 1.28
O 0.5977 0.1953 0.8329  1 C 1.29
O 0.5977 0.4024 0.8329  1 C 1.29
O 0.4023 0.8047 0.3329  1 C 1.29
O 0.8047 0.4024 0.8329  1 C 1.29
O 0.4023 0.5976 0.3329  1 C 1.29
O 0.1953 0.5976 0.3329  1 C 1.29
O 0.0690 0.1379 0.0033  1 C 1.29
O 0.0690 0.9310 0.0033  1 C 1.29
O 0.9310 0.8621 0.5033  1 C 1.29
O 0.8621 0.9310 0.0033  1 C 1.29
O 0.9310 0.0690 0.5033  1 C 1.29
O 0.1379 0.0690 0.5033  1 C 1.29

Results
spin magnetization	0.040	μB/atom
energy relative to the elements	-2.101	eV per atom

Question: What is the formula in the first record?
Answer: TaMnO4

Question: Among the records above, which one has the lowest spin magnetization?
Answer: Ba3Na3C5O15